Record 1
Tb5Pt3: optimized geometry, GGA-PBE.

The calculation puts the energy relative to the elements at -0.98 eV/atom. As for the space group: No. 193. The calculation puts the theoretical density at 11.77 g/cm3.

Cell lengths 8.4518, 8.4518, 6.2935 Å; angles 90.00, 90.00, 120.00 degrees
Last column: nearest neighbours and their distance in Å.
Element x y z (fractional)
Tb 0.0000 0.2470 0.2500  3 Pt 2.91-3.03
Tb 0.0000 0.7530 0.7500  3 Pt 2.91-3.03
Tb 0.2470 0.0000 0.2500  3 Pt 2.91-3.03
Tb 0.2470 0.2470 0.7500  3 Pt 2.91-3.03
Tb 0.3333 0.6667 0.0000  6 Pt 3.04, 2 Tb 3.15
Tb 0.3333 0.6667 0.5000  6 Pt 3.04, 2 Tb 3.15
Tb 0.6667 0.3333 0.0000  6 Pt 3.04, 2 Tb 3.15
Tb 0.6667 0.3333 0.5000  6 Pt 3.04, 2 Tb 3.15
Tb 0.7530 0.0000 0.7500  3 Pt 2.91-3.03
Tb 0.7530 0.7530 0.2500  3 Pt 2.91-3.03
Pt 0.0000 0.3939 0.7500  7 Tb 2.91-3.04
Pt 0.0000 0.6061 0.2500  7 Tb 2.91-3.04
Pt 0.3939 0.0000 0.7500  7 Tb 2.91-3.04
Pt 0.3939 0.3939 0.2500  7 Tb 2.91-3.04
Pt 0.6061 0.0000 0.2500  7 Tb 2.91-3.04
Pt 0.6061 0.6061 0.7500  7 Tb 2.91-3.04

---

Record 2
TiAlV2: optimized geometry, GGA-PBE.

The calculation puts the energy relative to the elements at -0.08 eV/atom. As for the space group: No. 35. For the size of the total moment, the calculation gives 0.01 μB/atom. The calculation puts the theoretical density at 4.93 g/cm3.

Cell lengths 2.6937, 2.6937, 8.5951 Å; angles 90.00, 90.00, 107.17 degrees
Last column: nearest neighbours and their distance in Å.
Element x y z (fractional)
Ti 0.0000 0.0000 0.0000  2 V 2.67, 4 Ti 2.69, 2 Al 2.83
Al 0.5000 0.5000 0.7284  2 V 2.67, 4 Al 2.69, 2 Ti 2.83
V 0.0000 0.0000 0.4794  6 V 2.55-2.69, 2 Al 2.67
V 0.5000 0.5000 0.2483  6 V 2.55-2.69, 2 Ti 2.67

---

Record 3
ZrTiO4: optimized geometry, GGA-PBE.

The calculation puts the energy relative to the elements at -3.61 eV/atom. As for the space group: No. 1. For the size of the total moment, the calculation gives 0.00 μB/atom. The calculation puts the theoretical density at 4.82 g/cm3.

Cell lengths 4.8530, 5.6644, 10.1907 Å; angles 90.33, 91.73, 90.09 degrees
Last column: nearest neighbours and their distance in Å.
Element x y z (fractional)
Zr 0.0000 0.0000 0.0000  6 O 2.06-2.22
Zr 0.0057 0.0053 0.4969  5 O 2.05-2.25
Zr 0.4932 0.4932 0.0061  6 O 2.04-2.23
Zr 0.9936 0.6057 0.7412  5 O 2.05-2.28
Ti 0.0011 0.6142 0.2537  4 O 1.88-1.98
Ti 0.5016 0.4842 0.4929  5 O 1.89-2.06
Ti 0.5029 0.1287 0.7470  5 O 1.88-2.10
Ti 0.5048 0.1153 0.2504  4 O 1.86-1.93
O 0.2123 0.7051 0.9121  3 Zr 2.04-2.17
O 0.2340 0.6834 0.4126  2 Ti 1.89-1.98
O 0.2364 0.9216 0.6676  1 Ti 1.90, 1 Zr 2.10
O 0.2463 0.4085 0.1679  1 Ti 1.90
O 0.2510 0.9120 0.1691  1 Ti 1.86
O 0.2707 0.2051 0.8976  1 Ti 1.98, 1 Zr 2.06
O 0.2871 0.4125 0.6469  2 Ti 1.95-2.16, 1 Zr 2.06
O 0.3089 0.1948 0.4071  2 Ti 1.93-2.06, 1 Zr 2.06
O 0.7027 0.1908 0.0945  1 Ti 1.93, 1 Zr 2.06
O 0.7265 0.4001 0.8423  2 Zr 2.05-2.11, 1 Ti 2.10
O 0.7305 0.2103 0.5953  2 Ti 1.98-2.16, 1 Zr 2.05
O 0.7456 0.4214 0.3378  2 Ti 1.88-2.03
O 0.7474 0.9139 0.8294  1 Ti 1.88
O 0.7621 0.6978 0.5716  1 Ti 1.90, 1 Zr 2.10
O 0.7768 0.9194 0.3254  1 Ti 1.87, 1 Zr 2.10
O 0.7981 0.6934 0.0933  1 Ti 1.94, 1 Zr 2.04

---

Record 4
PaGa3: optimized geometry, GGA-PBE.

The calculation puts the energy above the most stable polymorph in this dataset at 0.0 meV per atom. The calculation puts the energy relative to the elements at -0.38 eV/atom. As for the space group: No. 221. The calculation puts the theoretical density at 9.15 g/cm3.

Cell lengths 4.3065, 4.3065, 4.3065 Å; angles 90.00, 90.00, 90.00 degrees
Last column: nearest neighbours and their distance in Å.
Element x y z (fractional)
Pa 0.0000 0.0000 0.0000  12 Ga 3.05
Ga 0.0000 0.5000 0.5000  4 Pa 3.05, 8 Ga 3.05
Ga 0.5000 0.0000 0.5000  4 Pa 3.05, 8 Ga 3.05
Ga 0.5000 0.5000 0.0000  4 Pa 3.05, 8 Ga 3.05

---

Record 5
LiInN: optimized geometry, GGA-PBE.

The calculation puts the energy above the most stable polymorph in this dataset at 0.0 meV per atom. The calculation puts the energy relative to the elements at -0.23 eV/atom. As for the space group: No. 62. For the size of the total moment, the calculation gives 0.00 μB/atom. The calculation puts the theoretical density at 5.46 g/cm3.

Cell lengths 8.6642, 3.3655, 5.6648 Å; angles 90.00, 90.00, 90.00 degrees
Last column: nearest neighbours and their distance in Å.
Element x y z (fractional)
Li 0.0883 0.2500 0.0963  3 N 2.14-2.16
Li 0.4117 0.7500 0.5963  3 N 2.14-2.16
Li 0.5883 0.2500 0.4037  3 N 2.14-2.16
Li 0.9117 0.7500 0.9037  3 N 2.14-2.16
In 0.1376 0.2500 0.6191  3 N 2.21-2.26
In 0.3624 0.7500 0.1191  3 N 2.21-2.26
In 0.6376 0.2500 0.8809  3 N 2.21-2.26
In 0.8624 0.7500 0.3809  3 N 2.21-2.26
N 0.1587 0.7500 0.8835  3 Li 2.14-2.16, 3 In 2.21-2.26
N 0.3413 0.2500 0.3835  3 Li 2.14-2.16, 3 In 2.21-2.26
N 0.6587 0.7500 0.6165  3 Li 2.14-2.16, 3 In 2.21-2.26
N 0.8413 0.2500 0.1165  3 Li 2.14-2.16, 3 In 2.21-2.26

---

Record 6
Mg2Al4Zn3: optimized geometry, GGA-PBE.

The calculation puts the energy above the most stable polymorph in this dataset at 48.1 meV per atom. The calculation puts the energy relative to the elements at 0.08 eV/atom. As for the space group: No. 164. For the size of the total moment, the calculation gives 0.00 μB/atom. The calculation puts the theoretical density at 3.36 g/cm3.

Cell lengths 5.3595, 5.3595, 13.9973 Å; angles 90.00, 90.00, 120.00 degrees
Last column: nearest neighbours and their distance in Å.
Element x y z (fractional)
Mg 0.3333 0.6667 0.0491  9 Zn 3.07-3.26, 3 Al 3.17, 3 Mg 3.39
Mg 0.3333 0.6667 0.4526  12 Al 3.08-3.23, 3 Mg 3.37
Mg 0.6667 0.3333 0.5474  12 Al 3.08-3.23, 3 Mg 3.37
Mg 0.6667 0.3333 0.9509  9 Zn 3.07-3.26, 3 Al 3.17, 3 Mg 3.39
Al 0.0000 0.0000 0.0000  6 Zn 2.69
Al 0.0000 0.0000 0.5000  6 Al 2.68
Al 0.1678 0.3355 0.6557  1 Zn 2.63, 5 Al 2.66-2.70
Al 0.1678 0.8322 0.6557  1 Zn 2.63, 5 Al 2.66-2.70
Al 0.3355 0.1678 0.3443  1 Zn 2.63, 5 Al 2.66-2.70
Al 0.6645 0.8322 0.6557  1 Zn 2.63, 5 Al 2.66-2.70
Al 0.8322 0.1678 0.3443  1 Zn 2.63, 5 Al 2.66-2.70
Al 0.8322 0.6645 0.3443  1 Zn 2.63, 5 Al 2.66-2.70
Zn 0.1685 0.3371 0.8434  2 Al 2.63-2.69, 4 Zn 2.65-2.71
Zn 0.1685 0.8315 0.8434  2 Al 2.63-2.69, 4 Zn 2.65-2.71
Zn 0.3371 0.1685 0.1566  2 Al 2.63-2.69, 4 Zn 2.65-2.71
Zn 0.6629 0.8315 0.8434  2 Al 2.63-2.69, 4 Zn 2.65-2.71
Zn 0.8315 0.1685 0.1566  2 Al 2.63-2.69, 4 Zn 2.65-2.71
Zn 0.8315 0.6629 0.1566  2 Al 2.63-2.69, 4 Zn 2.65-2.71

---

Number 1: E_tot -0.2262 Ha/atom. Number 2: E_tot -0.2769 Ha/atom. Number 3: E_tot -0.3379 Ha/atom. Number 4: E_tot -0.1848 Ha/atom. Number 5: E_tot -0.1631 Ha/atom. Number 6: E_tot -0.0866 Ha/atom.